Density functional theory data (GGA-PBE) for a geometry-optimized NaPdN structure.

Cell lengths 8.9257, 3.7349, 6.1859 Å; angles 90.00, 90.00, 90.00 degrees
Sites, in units of the cell vectors:
Na (0.1674, 0.2500, 0.0745)
Na (0.3326, 0.7500, 0.5745)
Na (0.6674, 0.2500, 0.4255)
Na (0.8326, 0.7500, 0.9255)
Pd (0.0470, 0.2500, 0.6365)
Pd (0.4530, 0.7500, 0.1365)
Pd (0.5470, 0.2500, 0.8635)
Pd (0.9530, 0.7500, 0.3635)
N (0.0745, 0.7500, 0.7253)
N (0.4255, 0.2500, 0.2253)
N (0.5745, 0.7500, 0.7747)
N (0.9255, 0.2500, 0.2747)

Results
- Space-group type: Pnma (62)
- Energy above the lowest structure with this stoichiometry: 0 meV per atom
- Energy relative to the elements: 0.17 eV/atom

Density functional theory data (GGA-PBE) for a geometry-optimized TaN structure.

Cell lengths 10.6322, 10.9733, 11.0921 Å; angles 88.19, 87.44, 89.53 degrees
Sites, in units of the cell vectors:
Ta (0.0000, 0.0000, 0.0000)
Ta (0.0015, 0.8268, 0.7585)
Ta (0.0047, 0.7220, 0.0267)
Ta (0.0274, 0.1306, 0.2757)
Ta (0.0419, 0.1173, 0.7132)
Ta (0.0939, 0.9582, 0.4981)
Ta (0.0975, 0.4631, 0.4512)
Ta (0.1335, 0.2663, 0.9395)
Ta (0.1399, 0.4891, 0.7325)
Ta (0.1479, 0.7121, 0.5804)
Ta (0.1660, 0.3878, 0.2113)
Ta (0.2038, 0.7041, 0.3344)
Ta (0.2486, 0.0920, 0.1012)
Ta (0.2514, 0.2018, 0.4062)
Ta (0.2599, 0.2535, 0.6642)
Ta (0.2719, 0.7141, 0.0704)
Ta (0.2778, 0.0119, 0.8503)
Ta (0.3019, 0.4652, 0.9520)
Ta (0.3088, 0.6963, 0.8201)
Ta (0.3534, 0.4948, 0.5355)
Ta (0.3799, 0.9227, 0.3433)
Ta (0.4120, 0.7691, 0.5794)
Ta (0.4135, 0.5040, 0.2263)
Ta (0.4274, 0.2250, 0.9126)
Ta (0.4570, 0.9047, 0.0801)
Ta (0.4837, 0.2105, 0.2067)
Ta (0.4994, 0.0133, 0.6723)
Ta (0.5337, 0.5927, 0.9727)
Ta (0.5619, 0.7913, 0.8032)
Ta (0.5773, 0.2838, 0.5024)
Ta (0.6234, 0.5823, 0.5190)
Ta (0.6295, 0.0161, 0.4234)
Ta (0.6302, 0.3443, 0.0287)
Ta (0.6328, 0.4154, 0.7629)
Ta (0.6580, 0.7537, 0.3048)
Ta (0.6627, 0.0306, 0.8843)
Ta (0.6915, 0.5191, 0.1991)
Ta (0.7369, 0.9902, 0.1630)
Ta (0.7444, 0.7467, 0.0426)
Ta (0.7510, 0.8330, 0.5661)
Ta (0.7915, 0.0856, 0.6452)
Ta (0.8181, 0.6048, 0.8133)
Ta (0.8242, 0.2306, 0.8630)
Ta (0.8546, 0.2310, 0.1240)
Ta (0.8864, 0.3615, 0.6421)
Ta (0.8912, 0.3478, 0.3631)
Ta (0.9108, 0.4606, 0.0075)
Ta (0.9150, 0.6162, 0.5526)
Ta (0.9430, 0.6133, 0.2909)
Ta (0.9642, 0.8769, 0.2743)
N (0.9995, 0.1633, 0.8902)
N (0.0067, 0.6373, 0.7189)
N (0.0231, 0.7611, 0.4240)
N (0.0697, 0.3179, 0.6865)
N (0.0809, 0.2836, 0.3772)
N (0.0849, 0.7263, 0.1909)
N (0.0855, 0.9967, 0.1627)
N (0.0913, 0.2412, 0.1236)
N (0.0921, 0.4516, 0.9237)
N (0.0966, 0.9653, 0.8243)
N (0.1510, 0.7279, 0.9148)
N (0.1773, 0.1124, 0.5658)
N (0.2411, 0.5317, 0.1222)
N (0.2535, 0.8347, 0.4655)
N (0.2793, 0.5292, 0.3658)
N (0.2789, 0.9293, 0.0188)
N (0.2971, 0.6104, 0.6624)
N (0.3268, 0.0875, 0.2810)
N (0.3330, 0.3262, 0.2552)
N (0.3453, 0.7941, 0.2204)
N (0.3696, 0.3007, 0.5087)
N (0.3901, 0.1491, 0.7459)
N (0.4329, 0.7535, 0.9569)
N (0.4474, 0.1013, 0.0638)
N (0.4679, 0.9451, 0.5064)
N (0.4816, 0.9622, 0.8540)
N (0.4899, 0.4146, 0.9052)
N (0.5268, 0.4405, 0.6129)
N (0.5606, 0.5728, 0.3464)
N (0.5620, 0.9320, 0.2549)
N (0.5634, 0.1778, 0.3637)
N (0.5627, 0.3860, 0.2047)
N (0.5893, 0.6786, 0.1409)
N (0.6012, 0.7293, 0.6270)
N (0.6219, 0.1353, 0.5867)
N (0.6256, 0.2229, 0.8778)
N (0.6450, 0.9027, 0.0208)
N (0.6754, 0.1867, 0.1493)
N (0.6903, 0.9335, 0.7268)
N (0.7260, 0.5332, 0.0047)
N (0.7389, 0.3687, 0.4654)
N (0.7642, 0.5223, 0.6458)
N (0.7824, 0.6722, 0.4284)
N (0.7828, 0.9132, 0.3423)
N (0.8182, 0.0790, 0.9983)
N (0.8352, 0.4140, 0.8273)
N (0.8703, 0.4323, 0.1987)
N (0.8703, 0.7648, 0.8914)
N (0.8855, 0.8685, 0.0997)
N (0.9398, 0.9565, 0.6219)

Results
- Space-group type: P1 (1)
- Energy relative to the elements: -0.84 eV/atom

Density functional theory data (GGA-PBE) for a geometry-optimized TiCo3 structure.

Cell lengths 3.6072, 3.6072, 3.6072 Å; angles 90.00, 90.00, 90.00 degrees
Sites, in units of the cell vectors:
Ti (0.0000, 0.0000, 0.0000)
Co (0.0000, 0.5000, 0.5000)
Co (0.5000, 0.0000, 0.5000)
Co (0.5000, 0.5000, 0.0000)

Results
- Space-group type: Pm-3m (221)
- Energy relative to the elements: -0.26 eV/atom

Density functional theory data (GGA-PBE) for a geometry-optimized Na2LiRuF6 structure.

Cell lengths 5.6374, 5.6374, 5.6374 Å; angles 60.00, 60.00, 60.00 degrees
Sites, in units of the cell vectors:
Na (0.2500, 0.2500, 0.2500)
Na (0.7500, 0.7500, 0.7500)
Li (0.0000, 0.0000, 0.0000)
Ru (0.5000, 0.5000, 0.5000)
F (0.2482, 0.2482, 0.7518)
F (0.2482, 0.7518, 0.2482)
F (0.2482, 0.7518, 0.7518)
F (0.7518, 0.2482, 0.2482)
F (0.7518, 0.2482, 0.7518)
F (0.7518, 0.7518, 0.2482)

Results
- Space-group type: Fm-3m (225)
- Energy relative to the elements: -2.54 eV/atom

Density functional theory data (GGA-PBE) for a geometry-optimized BaNi10P6 structure.

Cell lengths 8.7240, 8.7240, 8.7743 Å; angles 90.00, 90.00, 136.75 degrees
Sites, in units of the cell vectors:
Ba (0.0000, 0.0000, 0.0000)
Ba (0.5000, 0.5000, 0.5000)
Ni (0.0238, 0.3736, 0.4711)
Ni (0.0453, 0.9547, 0.6185)
Ni (0.0882, 0.4118, 0.7500)
Ni (0.1264, 0.4762, 0.0289)
Ni (0.2091, 0.7909, 0.7936)
Ni (0.2909, 0.7091, 0.2936)
Ni (0.3736, 0.0238, 0.5289)
Ni (0.4118, 0.0882, 0.2500)
Ni (0.4547, 0.5453, 0.1185)
Ni (0.4762, 0.1264, 0.9711)
Ni (0.5238, 0.8736, 0.0289)
Ni (0.5453, 0.4547, 0.8815)
Ni (0.5882, 0.9118, 0.7500)
Ni (0.6264, 0.9762, 0.4711)
Ni (0.7091, 0.2909, 0.7064)
Ni (0.7909, 0.2091, 0.2064)
Ni (0.8736, 0.5238, 0.9711)
Ni (0.9118, 0.5882, 0.2500)
Ni (0.9547, 0.0453, 0.3815)
Ni (0.9762, 0.6264, 0.5289)
P (0.0899, 0.9101, 0.3727)
P (0.1405, 0.3595, 0.2500)
P (0.2086, 0.7914, 0.0747)
P (0.2914, 0.7086, 0.5747)
P (0.3595, 0.1405, 0.7500)
P (0.4101, 0.5899, 0.8727)
P (0.5899, 0.4101, 0.1273)
P (0.6405, 0.8595, 0.2500)
P (0.7086, 0.2914, 0.4253)
P (0.7914, 0.2086, 0.9253)
P (0.8595, 0.6405, 0.7500)
P (0.9101, 0.0899, 0.6273)

Results
- Space-group type: Cmce (64)
- Energy relative to the elements: -0.64 eV/atom

Density functional theory data (GGA-PBE) for a geometry-optimized Ba2NdNbO6 structure.

Cell lengths 6.1653, 6.1653, 6.1653 Å; angles 60.00, 60.00, 60.00 degrees
Sites, in units of the cell vectors:
Ba (0.2500, 0.2500, 0.2500)
Ba (0.7500, 0.7500, 0.7500)
Nd (0.0000, 0.0000, 0.0000)
Nb (0.5000, 0.5000, 0.5000)
O (0.2678, 0.2678, 0.7322)
O (0.2678, 0.7322, 0.2678)
O (0.2678, 0.7322, 0.7322)
O (0.7322, 0.2678, 0.2678)
O (0.7322, 0.2678, 0.7322)
O (0.7322, 0.7322, 0.2678)

Results
- Space-group type: Fm-3m (225)
- Energy relative to the elements: -3.36 eV/atom